DFT (PBE+U) results for a relaxed Sr3NiPtO6 crystal.

* total DFT energy (no corrections): -5.906 eV/atom
* formation enthalpy at 0 K: -2.275 eV/atom
* M_tot: 0.000 μB/cell
* total energy after the MP2020 corrections: -286.530 eV per cell

abc: 9.400 9.400 9.400
angles: 118.00 62.00 118.00
Atoms (fractional coordinates):
O: 0.293 0.383 0.418
O: 0.168 0.633 0.043
O: 0.332 0.867 0.457
O: 0.582 0.293 0.383
O: 0.133 0.543 0.332
O: 0.918 0.207 0.117
O: 0.418 0.707 0.617
O: 0.043 0.832 0.367
O: 0.367 0.957 0.168
O: 0.082 0.793 0.883
O: 0.457 0.668 0.133
O: 0.883 0.918 0.207
O: 0.543 0.332 0.867
O: 0.793 0.883 0.918
O: 0.957 0.168 0.633
O: 0.668 0.133 0.543
O: 0.117 0.082 0.793
O: 0.617 0.582 0.293
O: 0.832 0.367 0.957
O: 0.707 0.617 0.582
O: 0.633 0.043 0.832
O: 0.867 0.457 0.668
O: 0.207 0.117 0.082
O: 0.383 0.418 0.707
Sr: 0.239 0.125 0.511
Sr: 0.011 0.261 0.375
Sr: 0.375 0.989 0.739
Sr: 0.511 0.761 0.875
Sr: 0.875 0.489 0.239
Sr: 0.489 0.239 0.125
Sr: 0.739 0.625 0.011
Sr: 0.125 0.511 0.761
Sr: 0.261 0.375 0.989
Sr: 0.761 0.875 0.489
Sr: 0.989 0.739 0.625
Sr: 0.625 0.011 0.261
Ni: 0.125 0.875 0.125
Ni: 0.875 0.125 0.875
Ni: 0.625 0.375 0.625
Ni: 0.375 0.625 0.375
Pt: 0.000 0.000 0.000
Pt: 0.500 0.500 0.500
Pt: 0.750 0.250 0.750
Pt: 0.250 0.750 0.250

=====

DFT (PBE+U) results for a relaxed Na3Ni2P2C2O14 crystal.

* total DFT energy (no corrections): -6.313 eV/atom
* formation enthalpy at 0 K: -1.992 eV/atom
* energy above the lowest structure with this stoichiometry: 0.0 kJ per mole of atoms
* total energy after the MP2020 corrections: -319.793 eV per cell

abc: 8.251 8.294 9.039
angles: 90.12 91.60 102.32
Atoms (fractional coordinates):
Na: 0.130 0.135 0.243
Na: 0.349 0.394 0.741
Na: 0.368 0.883 0.251
Na: 0.632 0.117 0.749
Na: 0.651 0.606 0.259
Na: 0.870 0.865 0.757
Ni: 0.229 0.485 0.349
Ni: 0.268 0.014 0.653
Ni: 0.732 0.986 0.347
Ni: 0.771 0.515 0.651
P: 0.020 0.771 0.428
P: 0.488 0.734 0.572
P: 0.512 0.266 0.428
P: 0.980 0.229 0.572
C: 0.237 0.983 0.923
C: 0.270 0.518 0.077
C: 0.730 0.482 0.923
C: 0.763 0.017 0.077
O: 0.053 0.304 0.427
O: 0.087 0.650 0.328
O: 0.111 0.173 0.675
O: 0.145 0.887 0.826
O: 0.153 0.407 0.131
O: 0.165 0.924 0.461
O: 0.216 0.972 0.060
O: 0.293 0.537 0.941
O: 0.341 0.586 0.537
O: 0.353 0.093 0.863
O: 0.365 0.611 0.176
O: 0.380 0.322 0.327
O: 0.437 0.872 0.663
O: 0.440 0.201 0.580
O: 0.560 0.799 0.420
O: 0.563 0.128 0.337
O: 0.620 0.678 0.673
O: 0.635 0.389 0.824
O: 0.647 0.907 0.137
O: 0.659 0.414 0.463
O: 0.707 0.463 0.059
O: 0.784 0.028 0.940
O: 0.835 0.076 0.539
O: 0.847 0.593 0.869
O: 0.855 0.113 0.174
O: 0.889 0.827 0.325
O: 0.913 0.350 0.672
O: 0.947 0.696 0.573

=====

DFT (PBE+U) results for a relaxed MnSeO3 crystal.

* total DFT energy (no corrections): -6.385 eV/atom
* formation enthalpy at 0 K: -1.631 eV/atom
* M_tot: 0.000 μB/cell
* total energy after the MP2020 corrections: -142.620 eV per cell

abc: 6.187 8.017 5.208
angles: 90.00 90.00 90.00
Atoms (fractional coordinates):
Mn: 0.000 0.000 0.000
Mn: 0.000 0.500 0.000
Mn: 0.500 0.000 0.500
Mn: 0.500 0.500 0.500
Se: 0.027 0.250 0.482
Se: 0.473 0.750 0.982
Se: 0.527 0.250 0.018
Se: 0.973 0.750 0.518
O: 0.078 0.250 0.812
O: 0.181 0.083 0.365
O: 0.181 0.417 0.365
O: 0.319 0.583 0.865
O: 0.319 0.917 0.865
O: 0.422 0.750 0.312
O: 0.578 0.250 0.688
O: 0.681 0.083 0.135
O: 0.681 0.417 0.135
O: 0.819 0.583 0.635
O: 0.819 0.917 0.635
O: 0.922 0.750 0.188

=====

DFT (PBE+U) results for a relaxed Sr2DyVO6 crystal.

* total DFT energy (no corrections): -7.253 eV/atom
* formation enthalpy at 0 K: -3.159 eV/atom
* M_tot: 0.000 μB/cell
* total energy after the MP2020 corrections: -78.349 eV per cell

abc: 5.807 5.807 5.807
angles: 60.00 60.00 60.00
Atoms (fractional coordinates):
Sr: 0.250 0.250 0.250
Sr: 0.750 0.750 0.750
Dy: 0.000 0.000 0.000
V: 0.500 0.500 0.500
O: 0.269 0.269 0.731
O: 0.269 0.731 0.269
O: 0.269 0.731 0.731
O: 0.731 0.269 0.269
O: 0.731 0.269 0.731
O: 0.731 0.731 0.269

=====

Question: total DFT energy (no corrections) of number 4 (Sr2DyVO6)?
Answer: -7.253 eV/atom